# K3ClO r2SCAN relaxed
data_K3ClO
_chemical_formula_sum 'K6 Cl2 O2'
_symmetry_space_group_name_H-M 'P 1'
_symmetry_Int_Tables_number 1
_symmetry_space_group_name_Hall 'P 1'
_cell_length_a 5.2430
_cell_length_b 10.0819
_cell_length_c 7.1381
_cell_angle_alpha 45.07
_cell_angle_beta 90.00
_cell_angle_gamma 90.00
loop_
_atom_site_label
_atom_site_type_symbol
_atom_site_fract_x
_atom_site_fract_y
_atom_site_fract_z
K1 K 0.0000 0.1859 0.5000
K2 K 0.0000 0.6808 0.1231
K3 K 0.0000 0.3039 0.8769
K4 K 0.5000 0.4910 0.9998
K5 K 0.5000 0.9908 0.0002
K6 K 0.0000 0.8065 0.5000
Cl1 Cl 0.5000 0.4879 0.5000
Cl2 Cl 0.5000 0.9963 0.5000
O1 O 0.0000 0.9909 0.0028
O2 O 0.0000 0.4937 0.9972
# V = 267.1 Å³ per cell
# E_tot = -0.27890 hartree per atom
# space-group type = Amm2, No. 38
# mass density = 2.098 g cm⁻³



# K3ClO r2SCAN relaxed
data_K3ClO
_chemical_formula_sum 'K12 Cl4 O4'
_symmetry_space_group_name_H-M 'P 1'
_symmetry_Int_Tables_number 1
_symmetry_space_group_name_Hall 'P 1'
_cell_length_a 7.1620
_cell_length_b 7.3119
_cell_length_c 10.2299
_cell_angle_alpha 90.00
_cell_angle_beta 90.00
_cell_angle_gamma 90.00
loop_
_atom_site_label
_atom_site_type_symbol
_atom_site_fract_x
_atom_site_fract_y
_atom_site_fract_z
K1 K 0.0683 0.4767 0.2500
K2 K 0.7962 0.7956 0.0361
K3 K 0.4313 0.9765 0.2500
K4 K 0.2962 0.7043 0.9640
K5 K 0.7038 0.2957 0.4639
K6 K 0.7038 0.2957 0.0361
K7 K 0.2038 0.2044 0.9639
K8 K 0.9317 0.5233 0.7500
K9 K 0.2038 0.2044 0.5361
K10 K 0.5687 0.0234 0.7500
K11 K 0.2962 0.7043 0.5361
K12 K 0.7962 0.7956 0.4639
Cl1 Cl 0.4914 0.4545 0.7500
Cl2 Cl 0.0086 0.9545 0.7500
Cl3 Cl 0.5086 0.5455 0.2500
Cl4 Cl 0.9914 0.0455 0.2500
O1 O 0.0000 0.5000 0.0000
O2 O 0.5000 0.0000 0.5000
O3 O 0.5000 0.0000 0.0000
O4 O 0.0000 0.5000 0.5000
# V = 535.7 Å³ per cell
# E_tot = -0.27904 hartree per atom
# space-group type = Pnma, No. 62
# mass density = 2.092 g cm⁻³



# K2OsCl6 r2SCAN relaxed
data_K2OsCl6
_chemical_formula_sum 'K2 Os1 Cl6'
_symmetry_space_group_name_H-M 'P 1'
_symmetry_Int_Tables_number 1
_symmetry_space_group_name_Hall 'P 1'
_cell_length_a 6.9043
_cell_length_b 6.9043
_cell_length_c 6.9043
_cell_angle_alpha 60.00
_cell_angle_beta 60.00
_cell_angle_gamma 60.00
loop_
_atom_site_label
_atom_site_type_symbol
_atom_site_fract_x
_atom_site_fract_y
_atom_site_fract_z
K1 K 0.2500 0.2500 0.2500
K2 K 0.7500 0.7500 0.7500
Os1 Os 0.0000 0.0000 0.0000
Cl1 Cl 0.7605 0.2395 0.7605
Cl2 Cl 0.7605 0.2395 0.2395
Cl3 Cl 0.7605 0.7605 0.2395
Cl4 Cl 0.2395 0.7605 0.2395
Cl5 Cl 0.2395 0.2395 0.7605
Cl6 Cl 0.2395 0.7605 0.7605
# V = 232.7 Å³ per cell
# E_tot = -0.46484 hartree per atom
# space-group type = Fm-3m, No. 225
# mass density = 3.433 g cm⁻³



# K2PrCl5 r2SCAN relaxed
data_K2PrCl5
_chemical_formula_sum 'K8 Pr4 Cl20'
_symmetry_space_group_name_H-M 'P 1'
_symmetry_Int_Tables_number 1
_symmetry_space_group_name_Hall 'P 1'
_cell_length_a 8.0183
_cell_length_b 8.7894
_cell_length_c 12.7500
_cell_angle_alpha 90.00
_cell_angle_beta 90.00
_cell_angle_gamma 90.00
loop_
_atom_site_label
_atom_site_type_symbol
_atom_site_fract_x
_atom_site_fract_y
_atom_site_fract_z
K1 K 0.9507 0.4951 0.8279
K2 K 0.9507 0.0049 0.8279
K3 K 0.4507 0.5049 0.6721
K4 K 0.4507 0.9951 0.6721
K5 K 0.0493 0.5049 0.1721
K6 K 0.5493 0.4951 0.3279
K7 K 0.0493 0.9951 0.1721
K8 K 0.5493 0.0049 0.3279
Pr1 Pr 0.0781 0.2500 0.4936
Pr2 Pr 0.9219 0.7500 0.5064
Pr3 Pr 0.4219 0.2500 0.9936
Pr4 Pr 0.5781 0.7500 0.0064
Cl1 Cl 0.8343 0.0436 0.5797
Cl2 Cl 0.6657 0.0436 0.0797
Cl3 Cl 0.1657 0.5436 0.4203
Cl4 Cl 0.5715 0.7500 0.5072
Cl5 Cl 0.4285 0.2500 0.4928
Cl6 Cl 0.1657 0.9564 0.4203
Cl7 Cl 0.9285 0.7500 0.0072
Cl8 Cl 0.3343 0.5436 0.9203
Cl9 Cl 0.3343 0.9564 0.9203
Cl10 Cl 0.8328 0.7500 0.2927
Cl11 Cl 0.1672 0.2500 0.7073
Cl12 Cl 0.8343 0.4564 0.5797
Cl13 Cl 0.3328 0.2500 0.2073
Cl14 Cl 0.8684 0.2500 0.3187
Cl15 Cl 0.0715 0.2500 0.9928
Cl16 Cl 0.6672 0.7500 0.7927
Cl17 Cl 0.6316 0.2500 0.8187
Cl18 Cl 0.6657 0.4564 0.0797
Cl19 Cl 0.3684 0.7500 0.1813
Cl20 Cl 0.1316 0.7500 0.6813
# V = 898.6 Å³ per cell
# E_tot = -0.42077 hartree per atom
# space-group type = Pnma, No. 62
# mass density = 2.930 g cm⁻³



# K2PuCl6 r2SCAN relaxed
data_K2PuCl6
_chemical_formula_sum 'K2 Pu1 Cl6'
_symmetry_space_group_name_H-M 'P 1'
_symmetry_Int_Tables_number 1
_symmetry_space_group_name_Hall 'P 1'
_cell_length_a 7.1157
_cell_length_b 7.5563
_cell_length_c 7.3998
_cell_angle_alpha 58.86
_cell_angle_beta 59.70
_cell_angle_gamma 60.13
loop_
_atom_site_label
_atom_site_type_symbol
_atom_site_fract_x
_atom_site_fract_y
_atom_site_fract_z
K1 K 0.7861 0.7213 0.7327
K2 K 0.2140 0.2788 0.2673
Pu1 Pu 0.0000 0.0000 0.0000
Cl1 Cl 0.7754 0.7381 0.1546
Cl2 Cl 0.2246 0.2618 0.8454
Cl3 Cl 0.7701 0.3046 0.7313
Cl4 Cl 0.7093 0.1758 0.3040
Cl5 Cl 0.2298 0.6955 0.2688
Cl6 Cl 0.2907 0.8241 0.6960
# V = 278.5 Å³ per cell
# E_tot = -0.63149 hartree per atom
# space-group type = P-1, No. 2
# mass density = 3.190 g cm⁻³



# K3ScCl6 r2SCAN relaxed
data_K3ScCl6
_chemical_formula_sum 'K12 Sc4 Cl24'
_symmetry_space_group_name_H-M 'P 1'
_symmetry_Int_Tables_number 1
_symmetry_space_group_name_Hall 'P 1'
_cell_length_a 7.5772
_cell_length_b 12.2487
_cell_length_c 12.8172
_cell_angle_alpha 109.02
_cell_angle_beta 90.00
_cell_angle_gamma 90.00
loop_
_atom_site_label
_atom_site_type_symbol
_atom_site_fract_x
_atom_site_fract_y
_atom_site_fract_z
K1 K 0.5058 0.3646 0.6006
K2 K 0.0058 0.1354 0.3994
K3 K 0.4942 0.6354 0.3994
K4 K 0.9942 0.8646 0.6006
K5 K 0.5733 0.1125 0.8199
K6 K 0.0733 0.3875 0.1801
K7 K 0.4267 0.8875 0.1801
K8 K 0.9267 0.6125 0.8199
K9 K 0.0618 0.2671 0.8164
K10 K 0.5618 0.2329 0.1836
K11 K 0.9382 0.7329 0.1836
K12 K 0.4382 0.7671 0.8164
Sc1 Sc 0.5000 0.5000 0.0000
Sc2 Sc 0.0000 0.0000 0.0000
Sc3 Sc 0.5000 0.0000 0.5000
Sc4 Sc 0.0000 0.5000 0.5000
Cl1 Cl 0.7026 0.3939 0.8453
Cl2 Cl 0.2026 0.1061 0.1547
Cl3 Cl 0.2974 0.6061 0.1547
Cl4 Cl 0.7974 0.8939 0.8453
Cl5 Cl 0.7805 0.0907 0.6013
Cl6 Cl 0.2805 0.4093 0.3987
Cl7 Cl 0.2195 0.9093 0.3987
Cl8 Cl 0.7195 0.5907 0.6013
Cl9 Cl 0.3201 0.1474 0.6372
Cl10 Cl 0.8201 0.3526 0.3628
Cl11 Cl 0.6799 0.8526 0.3628
Cl12 Cl 0.1799 0.6474 0.6372
Cl13 Cl 0.3660 0.3117 0.9995
Cl14 Cl 0.8660 0.1883 0.0005
Cl15 Cl 0.6340 0.6883 0.0005
Cl16 Cl 0.1340 0.8117 0.9995
Cl17 Cl 0.2862 0.5073 0.8554
Cl18 Cl 0.7862 0.9927 0.1446
Cl19 Cl 0.7138 0.4927 0.1446
Cl20 Cl 0.2138 0.0073 0.8554
Cl21 Cl 0.0140 0.3704 0.6125
Cl22 Cl 0.5140 0.1296 0.3875
Cl23 Cl 0.9860 0.6296 0.3875
Cl24 Cl 0.4860 0.8704 0.6125
# V = 1124.6 Å³ per cell
# E_tot = -0.32820 hartree per atom
# space-group type = P2_1/c, No. 14
# mass density = 2.215 g cm⁻³



# KSm2Cl7 r2SCAN relaxed
data_KSm2Cl7
_chemical_formula_sum 'K4 Sm8 Cl28'
_symmetry_space_group_name_H-M 'P 1'
_symmetry_Int_Tables_number 1
_symmetry_space_group_name_Hall 'P 1'
_cell_length_a 12.8405
_cell_length_b 7.0515
_cell_length_c 12.9315
_cell_angle_alpha 92.17
_cell_angle_beta 90.00
_cell_angle_gamma 90.00
loop_
_atom_site_label
_atom_site_type_symbol
_atom_site_fract_x
_atom_site_fract_y
_atom_site_fract_z
K1 K 0.2179 0.8058 0.0323
K2 K 0.7821 0.1942 0.9677
K3 K 0.7179 0.1942 0.4677
K4 K 0.2821 0.8058 0.5323
Sm1 Sm 0.5358 0.7851 0.2385
Sm2 Sm 0.4642 0.2149 0.7615
Sm3 Sm 0.0358 0.2149 0.2615
Sm4 Sm 0.9642 0.7851 0.7385
Sm5 Sm 0.8400 0.7110 0.2419
Sm6 Sm 0.1600 0.2890 0.7581
Sm7 Sm 0.3400 0.2890 0.2581
Sm8 Sm 0.6600 0.7110 0.7419
Cl1 Cl 0.9810 0.9148 0.1277
Cl2 Cl 0.0190 0.0852 0.8723
Cl3 Cl 0.4810 0.0852 0.3723
Cl4 Cl 0.5190 0.9148 0.6277
Cl5 Cl 0.6860 0.7493 0.3946
Cl6 Cl 0.3140 0.2507 0.6054
Cl7 Cl 0.1860 0.2507 0.1054
Cl8 Cl 0.8140 0.7493 0.8946
Cl9 Cl 0.6713 0.5122 0.1624
Cl10 Cl 0.3287 0.4878 0.8376
Cl11 Cl 0.1713 0.4878 0.3376
Cl12 Cl 0.8287 0.5122 0.6624
Cl13 Cl 0.9286 0.9676 0.3824
Cl14 Cl 0.0714 0.0324 0.6176
Cl15 Cl 0.4286 0.0324 0.1176
Cl16 Cl 0.5714 0.9676 0.8824
Cl17 Cl 0.9344 0.4291 0.1200
Cl18 Cl 0.0656 0.5709 0.8800
Cl19 Cl 0.4344 0.5709 0.3800
Cl20 Cl 0.5656 0.4291 0.6200
Cl21 Cl 0.7080 0.9969 0.1769
Cl22 Cl 0.2920 0.0031 0.8231
Cl23 Cl 0.2080 0.0031 0.3231
Cl24 Cl 0.7920 0.9969 0.6769
Cl25 Cl 0.9044 0.4488 0.3792
Cl26 Cl 0.0956 0.5512 0.6208
Cl27 Cl 0.4044 0.5512 0.1208
Cl28 Cl 0.5956 0.4488 0.8792
# V = 1170.0 Å³ per cell
# E_tot = -0.49088 hartree per atom
# space-group type = P2_1/c, No. 14
# mass density = 3.338 g cm⁻³



# KSr2Cl5 r2SCAN relaxed
data_KSr2Cl5
_chemical_formula_sum 'K4 Sr8 Cl20'
_symmetry_space_group_name_H-M 'P 1'
_symmetry_Int_Tables_number 1
_symmetry_space_group_name_Hall 'P 1'
_cell_length_a 7.8863
_cell_length_b 8.8608
_cell_length_c 12.7253
_cell_angle_alpha 89.91
_cell_angle_beta 90.00
_cell_angle_gamma 90.00
loop_
_atom_site_label
_atom_site_type_symbol
_atom_site_fract_x
_atom_site_fract_y
_atom_site_fract_z
K1 K 0.4637 0.4927 0.8294
K2 K 0.5363 0.5073 0.1706
K3 K 0.9637 0.5073 0.6706
K4 K 0.0363 0.4927 0.3294
Sr1 Sr 0.4791 0.9992 0.8226
Sr2 Sr 0.5209 0.0008 0.1774
Sr3 Sr 0.9791 0.0008 0.6774
Sr4 Sr 0.0209 0.9992 0.3226
Sr5 Sr 0.4320 0.7489 0.5058
Sr6 Sr 0.5680 0.2511 0.4942
Sr7 Sr 0.9320 0.2511 0.9942
Sr8 Sr 0.0680 0.7489 0.0058
Cl1 Cl 0.3338 0.4640 0.5929
Cl2 Cl 0.6662 0.5360 0.4071
Cl3 Cl 0.8338 0.5360 0.9071
Cl4 Cl 0.1662 0.4640 0.0929
Cl5 Cl 0.6710 0.7824 0.6831
Cl6 Cl 0.3290 0.2176 0.3169
Cl7 Cl 0.1710 0.2176 0.8169
Cl8 Cl 0.8290 0.7824 0.1831
Cl9 Cl 0.1955 0.7698 0.7840
Cl10 Cl 0.8045 0.2302 0.2160
Cl11 Cl 0.6955 0.2302 0.7160
Cl12 Cl 0.3045 0.7698 0.2840
Cl13 Cl 0.0469 0.7803 0.5023
Cl14 Cl 0.9531 0.2197 0.4977
Cl15 Cl 0.5469 0.2197 0.9977
Cl16 Cl 0.4531 0.7803 0.0023
Cl17 Cl 0.8401 0.9619 0.8990
Cl18 Cl 0.1599 0.0381 0.1010
Cl19 Cl 0.3401 0.0381 0.6010
Cl20 Cl 0.6599 0.9619 0.3990
# V = 889.2 Å³ per cell
# E_tot = -0.40429 hartree per atom
# space-group type = P2_1/c, No. 14
# mass density = 2.925 g cm⁻³



# K2TaCl6 r2SCAN relaxed
data_K2TaCl6
_chemical_formula_sum 'K2 Ta1 Cl6'
_symmetry_space_group_name_H-M 'P 1'
_symmetry_Int_Tables_number 1
_symmetry_space_group_name_Hall 'P 1'
_cell_length_a 6.9832
_cell_length_b 6.9832
_cell_length_c 6.9832
_cell_angle_alpha 60.00
_cell_angle_beta 60.00
_cell_angle_gamma 60.00
loop_
_atom_site_label
_atom_site_type_symbol
_atom_site_fract_x
_atom_site_fract_y
_atom_site_fract_z
K1 K 0.7500 0.7500 0.7500
K2 K 0.2500 0.2500 0.2500
Ta1 Ta 0.0000 0.0000 0.0000
Cl1 Cl 0.2437 0.7563 0.7563
Cl2 Cl 0.7563 0.2437 0.7563
Cl3 Cl 0.7563 0.7563 0.2437
Cl4 Cl 0.7563 0.2437 0.2437
Cl5 Cl 0.2437 0.2437 0.7563
Cl6 Cl 0.2437 0.7563 0.2437
# V = 240.8 Å³ per cell
# E_tot = -0.46414 hartree per atom
# space-group type = Fm-3m, No. 225
# mass density = 3.254 g cm⁻³



# KTb2Cl7 r2SCAN relaxed
data_KTb2Cl7
_chemical_formula_sum 'K4 Tb8 Cl28'
_symmetry_space_group_name_H-M 'P 1'
_symmetry_Int_Tables_number 1
_symmetry_space_group_name_Hall 'P 1'
_cell_length_a 12.6223
_cell_length_b 6.9406
_cell_length_c 12.8821
_cell_angle_alpha 91.33
_cell_angle_beta 90.00
_cell_angle_gamma 90.00
loop_
_atom_site_label
_atom_site_type_symbol
_atom_site_fract_x
_atom_site_fract_y
_atom_site_fract_z
K1 K 0.2106 0.7956 0.0335
K2 K 0.7894 0.2044 0.9665
K3 K 0.7106 0.2044 0.4665
K4 K 0.2894 0.7956 0.5335
Tb1 Tb 0.5348 0.7785 0.2389
Tb2 Tb 0.4652 0.2215 0.7611
Tb3 Tb 0.0348 0.2215 0.2611
Tb4 Tb 0.9652 0.7785 0.7389
Tb5 Tb 0.8382 0.7187 0.2458
Tb6 Tb 0.1618 0.2813 0.7542
Tb7 Tb 0.3382 0.2813 0.2542
Tb8 Tb 0.6618 0.7187 0.7458
Cl1 Cl 0.9736 0.9306 0.1293
Cl2 Cl 0.0264 0.0694 0.8707
Cl3 Cl 0.4736 0.0694 0.3707
Cl4 Cl 0.5264 0.9306 0.6293
Cl5 Cl 0.6843 0.7494 0.3956
Cl6 Cl 0.3157 0.2506 0.6044
Cl7 Cl 0.1843 0.2506 0.1044
Cl8 Cl 0.8157 0.7494 0.8956
Cl9 Cl 0.6734 0.5114 0.1677
Cl10 Cl 0.3266 0.4886 0.8323
Cl11 Cl 0.1734 0.4886 0.3323
Cl12 Cl 0.8266 0.5114 0.6677
Cl13 Cl 0.9261 0.9753 0.3815
Cl14 Cl 0.0739 0.0247 0.6185
Cl15 Cl 0.4261 0.0247 0.1185
Cl16 Cl 0.5739 0.9753 0.8815
Cl17 Cl 0.9370 0.4473 0.1238
Cl18 Cl 0.0630 0.5527 0.8762
Cl19 Cl 0.4370 0.5527 0.3762
Cl20 Cl 0.5630 0.4473 0.6238
Cl21 Cl 0.7031 0.9956 0.1765
Cl22 Cl 0.2969 0.0044 0.8235
Cl23 Cl 0.2031 0.0044 0.3235
Cl24 Cl 0.7969 0.9956 0.6765
Cl25 Cl 0.9063 0.4546 0.3796
Cl26 Cl 0.0937 0.5454 0.6204
Cl27 Cl 0.4063 0.5454 0.1204
Cl28 Cl 0.5937 0.4546 0.8796
# V = 1128.3 Å³ per cell
# E_tot = -0.50203 hartree per atom
# space-group type = P2_1/c, No. 14
# mass density = 3.562 g cm⁻³



# K3Tc2Cl8 r2SCAN relaxed
data_K3Tc2Cl8
_chemical_formula_sum 'K9 Tc6 Cl24'
_symmetry_space_group_name_H-M 'P 1'
_symmetry_Int_Tables_number 1
_symmetry_space_group_name_Hall 'P 1'
_cell_length_a 12.7504
_cell_length_b 12.7507
_cell_length_c 8.1439
_cell_angle_alpha 90.01
_cell_angle_beta 89.99
_cell_angle_gamma 120.00
loop_
_atom_site_label
_atom_site_type_symbol
_atom_site_fract_x
_atom_site_fract_y
_atom_site_fract_z
K1 K 0.3320 0.8196 0.9219
K2 K 0.4877 0.6684 0.5883
K3 K 0.1805 0.5123 0.2559
K4 K 0.6684 0.4877 0.4117
K5 K 0.8198 0.3321 0.0781
K6 K 0.5122 0.1804 0.7441
K7 K 0.7067 0.0000 0.3331
K8 K 0.2930 0.2930 0.0000
K9 K 0.0000 0.7067 0.6668
Tc1 Tc 0.3583 0.9174 0.3986
Tc2 Tc 0.5590 0.6417 0.0656
Tc3 Tc 0.0826 0.4410 0.7326
Tc4 Tc 0.6416 0.5591 0.9345
Tc5 Tc 0.9176 0.3584 0.6014
Tc6 Tc 0.4408 0.0824 0.2675
Cl1 Cl 0.2530 0.9464 0.6181
Cl2 Cl 0.6934 0.7470 0.2850
Cl3 Cl 0.0534 0.3065 0.9519
Cl4 Cl 0.7469 0.6935 0.7150
Cl5 Cl 0.9467 0.2532 0.3819
Cl6 Cl 0.3064 0.0532 0.0481
Cl7 Cl 0.5020 0.9379 0.6046
Cl8 Cl 0.4358 0.4982 0.2717
Cl9 Cl 0.0622 0.5641 0.9388
Cl10 Cl 0.4982 0.4359 0.7283
Cl11 Cl 0.9381 0.5021 0.3954
Cl12 Cl 0.5640 0.0620 0.0613
Cl13 Cl 0.1730 0.8004 0.2665
Cl14 Cl 0.6273 0.8270 0.9333
Cl15 Cl 0.1996 0.3726 0.6002
Cl16 Cl 0.8268 0.6274 0.0667
Cl17 Cl 0.8006 0.1731 0.7335
Cl18 Cl 0.3725 0.1993 0.3997
Cl19 Cl 0.4228 0.7921 0.2664
Cl20 Cl 0.3694 0.5770 0.9330
Cl21 Cl 0.2078 0.6308 0.6001
Cl22 Cl 0.5769 0.3695 0.0670
Cl23 Cl 0.7923 0.4229 0.7337
Cl24 Cl 0.6306 0.2075 0.3999
# V = 1146.6 Å³ per cell
# E_tot = -0.39166 hartree per atom
# space-group type = C2, No. 5
# mass density = 2.593 g cm⁻³



# K2TcCl6 r2SCAN relaxed
data_K2TcCl6
_chemical_formula_sum 'K2 Tc1 Cl6'
_symmetry_space_group_name_H-M 'P 1'
_symmetry_Int_Tables_number 1
_symmetry_space_group_name_Hall 'P 1'
_cell_length_a 6.9477
_cell_length_b 6.9477
_cell_length_c 6.9477
_cell_angle_alpha 60.00
_cell_angle_beta 60.00
_cell_angle_gamma 60.00
loop_
_atom_site_label
_atom_site_type_symbol
_atom_site_fract_x
_atom_site_fract_y
_atom_site_fract_z
K1 K 0.7500 0.7500 0.7500
K2 K 0.2500 0.2500 0.2500
Tc1 Tc 0.0000 0.0000 0.0000
Cl1 Cl 0.2402 0.7598 0.7598
Cl2 Cl 0.2402 0.7598 0.2402
Cl3 Cl 0.7598 0.2402 0.7598
Cl4 Cl 0.7598 0.2402 0.2402
Cl5 Cl 0.7598 0.7598 0.2402
Cl6 Cl 0.2402 0.2402 0.7598
# V = 237.1 Å³ per cell
# E_tot = -0.36346 hartree per atom
# space-group type = Fm-3m, No. 225
# mass density = 2.723 g cm⁻³